# V2OF5

A relaxed structure of V2OF5 (r2SCAN, Materials Project).

energy above the lowest structure with this stoichiometry: 1 meV per atom
DFT total energy: -9.34 eV per atom
total magnetic moment: 3.000 μB/f.u.
symmetry: P1
E_form: -3.114 eV per atom

Cell lengths 5.0990, 5.3007, 16.9006 Å; angles 83.35, 81.39, 61.47 degrees
With the nearest neighbours (Å) after each atom.
Fractional coordinates of all 32 atoms:
1 V 0.0000 0.0000 0.0000  1 O 1.68
2 V 0.0956 0.1200 0.6260  1 O 1.86, 5 F 1.90-1.99
3 V 0.2549 0.2173 0.2477  1 O 1.86, 5 F 1.89-2.01
4 V 0.3520 0.3450 0.8782  1 O 1.86, 5 F 1.90-1.99
5 V 0.4595 0.4952 0.4922  1 O 1.68
6 V 0.6151 0.6314 0.1290  1 O 1.68
7 V 0.7522 0.7062 0.7449  1 O 1.68
8 V 0.8731 0.8459 0.3753  1 O 1.86, 5 F 1.89-2.00
9 O 0.1875 0.1808 0.9604  2 V 1.68-1.86
10 O 0.2416 0.6437 0.4171  2 V 1.68-1.86
11 O 0.5210 0.9065 0.1865  2 V 1.68-1.86
12 O 0.9874 0.4336 0.6867  2 V 1.68-1.86
13 F 0.0179 0.0219 0.2860  2 V 1.92-1.94
14 F 0.0190 0.3849 0.1591  2 V 1.92-1.95
15 F 0.1927 0.7752 0.5675  2 V 1.91-1.99
16 F 0.2186 0.8070 0.0913  2 V 1.93-1.95
17 F 0.2701 0.6597 0.9394  2 V 1.91-1.96
18 F 0.2752 0.2498 0.5338  2 V 1.91-1.96
19 F 0.4488 0.0427 0.8103  2 V 1.91-2.03
20 F 0.4601 0.0725 0.3406  2 V 1.90-2.00
21 F 0.4607 0.4359 0.2160  2 V 1.89-1.98
22 F 0.4838 0.9097 0.6620  2 V 1.90-1.95
23 F 0.4994 0.5332 0.7872  2 V 1.93-1.99
24 F 0.6942 0.2968 0.0675  2 V 1.94-2.00
25 F 0.6995 0.6951 0.4641  2 V 1.92-1.95
26 F 0.7179 0.3106 0.5826  2 V 1.91-2.01
27 F 0.7429 0.1423 0.9121  2 V 1.90-1.97
28 F 0.7729 0.7729 0.0348  2 V 1.91-2.03
29 F 0.7825 0.1698 0.4351  2 V 1.92-1.95
30 F 0.9373 0.5498 0.3101  2 V 1.89-2.01
31 F 0.9390 0.9546 0.7147  2 V 1.91-1.95
32 F 0.9615 0.5667 0.8403  2 V 1.93-1.94


# V2O3F

A relaxed structure of V2O3F (r2SCAN, Materials Project).

energy above the lowest structure with this stoichiometry: 5 meV per atom
DFT total energy: -10.99 eV per atom
total magnetic moment: 3.000 μB/f.u.
symmetry: Imma
E_form: -2.789 eV per atom

Cell lengths 5.4699, 5.4699, 5.4699 Å; angles 114.12, 109.94, 104.49 degrees
With the nearest neighbours (Å) after each atom.
Fractional coordinates of all 12 atoms:
1 V 0.0000 0.0000 0.5000  4 O 1.91-1.96, 2 F 2.02
2 V 0.0000 0.5000 0.0000  4 O 1.91-1.96, 2 F 2.02
3 V 0.4588 0.2088 0.2500  5 O 1.79-1.95
4 V 0.5412 0.7912 0.7500  5 O 1.79-1.95
5 O 0.1915 0.9415 0.2500  3 V 1.79-1.96
6 O 0.3040 0.0000 0.8040  3 V 1.91-1.95
7 O 0.3040 0.5000 0.3040  3 V 1.91-1.95
8 O 0.6960 0.0000 0.1960  3 V 1.91-1.95
9 O 0.6960 0.5000 0.6960  3 V 1.91-1.95
10 O 0.8085 0.0585 0.7500  3 V 1.79-1.96
11 F 0.2049 0.4549 0.7500  3 V 2.02-2.25
12 F 0.7951 0.5451 0.2500  3 V 2.02-2.25


# V2O3F

A relaxed structure of V2O3F (r2SCAN, Materials Project).

energy above the lowest structure with this stoichiometry: 6 meV per atom
DFT total energy: -10.99 eV per atom
total magnetic moment: 3.000 μB/f.u.
symmetry: Amm2
E_form: -2.788 eV per atom

Cell lengths 8.9282, 4.6005, 4.6005 Å; angles 86.00, 90.00, 90.00 degrees
With the nearest neighbours (Å) after each atom.
Fractional coordinates of all 18 atoms:
1 V 0.0000 0.0000 0.0000  4 O 1.90-1.93, 2 F 2.07
2 V 0.1660 0.5510 0.5510  5 O 1.78-1.96
3 V 0.3324 0.0112 0.0112  4 O 1.91-1.99, 2 F 1.99-2.01
4 V 0.5000 0.4649 0.4649  5 O 1.76-1.95
5 V 0.6676 0.0112 0.0112  4 O 1.91-1.99, 2 F 1.99-2.01
6 V 0.8340 0.5510 0.5510  5 O 1.78-1.96
7 O 0.0000 0.3160 0.7095  3 V 1.90-1.95
8 O 0.0000 0.7095 0.3160  3 V 1.90-1.95
9 O 0.1653 0.8160 0.8160  3 V 1.78-1.99
10 O 0.3339 0.3134 0.7058  3 V 1.91-1.96
11 O 0.3339 0.7058 0.3134  3 V 1.91-1.96
12 O 0.5000 0.2039 0.2039  1 V 1.76
13 O 0.6661 0.3134 0.7058  3 V 1.91-1.96
14 O 0.6661 0.7058 0.3134  3 V 1.91-1.96
15 O 0.8347 0.8160 0.8160  3 V 1.78-1.99
16 F 0.1677 0.2114 0.2114  2 V 1.99-2.07
17 F 0.5000 0.8121 0.8121  2 V 2.01
18 F 0.8323 0.2114 0.2114  2 V 1.99-2.07


# WO2F

A relaxed structure of WO2F (r2SCAN, Materials Project).

energy above the lowest structure with this stoichiometry: 43 meV per atom
DFT total energy: -18.91 eV per atom
total magnetic moment: 0.000 μB/f.u.
symmetry: C2/c
E_form: -2.302 eV per atom

Cell lengths 5.5308, 5.5308, 5.3621 Å; angles 118.97, 118.97, 57.90 degrees
With the nearest neighbours (Å) after each atom.
Fractional coordinates of all 8 atoms:
1 W 0.0000 0.5000 0.0000  4 O 1.90, 2 F 2.02
2 W 0.5000 0.0000 0.5000  4 O 1.90, 2 F 2.02
3 O 0.2395 0.2475 0.7395  2 W 1.90
4 O 0.2475 0.2395 0.2395  2 W 1.90
5 O 0.7525 0.7605 0.7605  2 W 1.90
6 O 0.7605 0.7525 0.2605  2 W 1.90
7 F 0.2679 0.7321 0.2500  2 W 2.02
8 F 0.7321 0.2679 0.7500  2 W 2.02


# WO2F

A relaxed structure of WO2F (r2SCAN, Materials Project).

energy above the lowest structure with this stoichiometry: 0 meV per atom
DFT total energy: -18.96 eV per atom
total magnetic moment: 0.000 μB/f.u.
symmetry: P-1
E_form: -2.346 eV per atom

Cell lengths 5.3884, 5.5037, 13.4294 Å; angles 87.26, 89.35, 61.28 degrees
With the nearest neighbours (Å) after each atom.
Fractional coordinates of all 24 atoms:
1 W 0.0200 0.4832 0.2513  4 O 1.87-1.94, 2 F 2.01-2.02
2 W 0.3276 0.8387 0.5828  4 O 1.89-1.92, 2 F 2.02
3 W 0.3767 0.7924 0.0838  4 O 1.82-1.90
4 W 0.6233 0.2076 0.9162  4 O 1.82-1.90
5 W 0.6724 0.1613 0.4172  4 O 1.89-1.92, 2 F 2.02
6 W 0.9800 0.5168 0.7487  4 O 1.87-1.94, 2 F 2.01-2.02
7 O 0.0000 0.0000 0.5000  2 W 1.89
8 O 0.1519 0.6764 0.6673  2 W 1.87-1.92
9 O 0.1746 0.6620 0.1652  2 W 1.88-1.91
10 O 0.3114 0.3550 0.8350  2 W 1.82-1.94
11 O 0.3479 0.3258 0.3319  2 W 1.88-1.90
12 O 0.5000 0.0000 0.0000  2 W 1.90
13 O 0.5000 0.0000 0.5000  2 W 1.89
14 O 0.5000 0.5000 0.0000  2 W 1.85
15 O 0.6521 0.6742 0.6681  2 W 1.88-1.90
16 O 0.6886 0.6450 0.1650  2 W 1.82-1.94
17 O 0.8254 0.3380 0.8348  2 W 1.88-1.91
18 O 0.8481 0.3236 0.3327  2 W 1.87-1.92
19 F 0.0000 0.0000 0.0000  2 W 2.10
20 F 0.1548 0.1775 0.6657  2 W 2.02
21 F 0.1902 0.1494 0.1674  2 W 2.01-2.10
22 F 0.5000 0.5000 0.5000  2 W 2.02
23 F 0.8098 0.8506 0.8326  2 W 2.01-2.10
24 F 0.8452 0.8225 0.3343  2 W 2.02


# WOF3

A relaxed structure of WOF3 (r2SCAN, Materials Project).

DFT total energy: -15.91 eV per atom
total magnetic moment: 1.000 μB/f.u.
symmetry: P2_12_12_1
E_form: -2.571 eV per atom

Cell lengths 4.9704, 5.5478, 9.1645 Å; angles 90.00, 90.00, 90.00 degrees
With the nearest neighbours (Å) after each atom.
Fractional coordinates of all 20 atoms:
1 W 0.1513 0.1113 0.1430  2 O 1.85-1.87, 3 F 1.87-2.06
2 W 0.3487 0.8887 0.6430  2 O 1.85-1.87, 3 F 1.87-2.06
3 W 0.6513 0.3887 0.8570  2 O 1.85-1.87, 3 F 1.87-2.06
4 W 0.8487 0.6113 0.3570  2 O 1.85-1.87, 3 F 1.87-2.06
5 O 0.0114 0.3727 0.2480  2 W 1.85-1.87
6 O 0.4886 0.6273 0.7480  2 W 1.85-1.87
7 O 0.5114 0.1273 0.7520  2 W 1.85-1.87
8 O 0.9886 0.8727 0.2520  2 W 1.85-1.87
9 F 0.0196 0.8937 0.7421  1 W 1.87
10 F 0.1636 0.6452 0.5012  2 W 2.06-2.09
11 F 0.2121 0.1081 0.5042  1 W 1.89
12 F 0.2879 0.8919 0.0042  1 W 1.89
13 F 0.3364 0.3548 0.0012  2 W 2.06-2.09
14 F 0.4804 0.1063 0.2421  1 W 1.87
15 F 0.5196 0.6063 0.2579  1 W 1.87
16 F 0.6636 0.8548 0.4988  2 W 2.06-2.09
17 F 0.7121 0.3919 0.4958  1 W 1.89
18 F 0.7879 0.6081 0.9958  1 W 1.89
19 F 0.8364 0.1452 0.9988  2 W 2.06-2.09
20 F 0.9804 0.3937 0.7579  1 W 1.87


# Y5O4F7

A relaxed structure of Y5O4F7 (r2SCAN, Materials Project).

DFT total energy: -13.48 eV per atom
total magnetic moment: 0.000 μB/f.u.
symmetry: C2
E_form: -4.275 eV per atom

Cell lengths 14.0938, 14.0938, 5.4122 Å; angles 90.20, 90.20, 22.64 degrees
With the nearest neighbours (Å) after each atom.
Fractional coordinates of all 32 atoms:
1 Y 0.0492 0.0492 0.2101  4 O 2.20-2.35, 2 F 2.27-2.29
2 Y 0.1230 0.1719 0.7870  3 O 2.16-2.33, 4 F 2.25-2.40
3 Y 0.2761 0.2251 0.2245  6 F 2.23-2.39, 2 O 2.25-2.31
4 Y 0.3011 0.4021 0.7900  3 O 2.20-2.31, 4 F 2.24-2.35
5 Y 0.4539 0.4466 0.2062  4 O 2.22-2.31, 2 F 2.27-2.31
6 Y 0.5534 0.5461 0.7938  4 O 2.22-2.31, 2 F 2.27-2.31
7 Y 0.5979 0.6989 0.2100  3 O 2.20-2.31, 4 F 2.24-2.35
8 Y 0.7749 0.7239 0.7755  6 F 2.23-2.39, 2 O 2.25-2.31
9 Y 0.8281 0.8770 0.2130  3 O 2.16-2.33, 4 F 2.25-2.40
10 Y 0.9508 0.9508 0.7899  4 O 2.20-2.35, 2 F 2.27-2.29
11 O 0.0441 0.5511 0.0405  4 Y 2.25-2.33
12 O 0.1231 0.6766 0.0225  4 Y 2.16-2.31
13 O 0.2637 0.7363 0.0000  4 Y 2.22-2.29
14 O 0.3234 0.8769 0.9775  4 Y 2.16-2.31
15 O 0.4489 0.9559 0.9595  4 Y 2.25-2.33
16 O 0.6206 0.1738 0.9713  4 Y 2.20-2.35
17 O 0.7628 0.2372 0.0000  4 Y 2.20-2.28
18 O 0.8262 0.3794 0.0287  4 Y 2.20-2.35
19 F 0.1514 0.3479 0.6164  2 Y 2.23-2.25
20 F 0.1649 0.8351 0.5000  2 Y 2.27
21 F 0.2392 0.5823 0.5356  2 Y 2.24-2.31
22 F 0.2635 0.0825 0.4057  3 Y 2.27-2.39
23 F 0.4177 0.7608 0.4644  2 Y 2.24-2.31
24 F 0.4348 0.2176 0.4090  3 Y 2.35-2.40
25 F 0.5465 0.0534 0.9532  4 Y 2.29-2.38
26 F 0.6521 0.8486 0.3836  2 Y 2.23-2.25
27 F 0.6614 0.3386 0.5000  2 Y 2.27
28 F 0.7505 0.0767 0.4507  3 Y 2.25-2.49
29 F 0.7824 0.5652 0.5910  3 Y 2.35-2.40
30 F 0.9175 0.7365 0.5943  3 Y 2.27-2.39
31 F 0.9233 0.2495 0.5493  3 Y 2.25-2.49
32 F 0.9466 0.4535 0.0468  4 Y 2.29-2.38